A relaxed structure of EuMg3SiN4, computed with GGA-PBE.

Cell and atoms, written as POSCAR:
```
EuMg3SiN4
1.0
-5.8077 5.8077 6.7951
5.8077 -5.8077 6.7951
5.8077 5.8077 -6.7951
Mg N Eu Si
24 32 8 8
direct
0.9547 0.7746 0.8595
0.0319 0.6589 0.3179
0.4090 0.5360 0.8179
0.3410 0.7140 0.6821
0.3411 0.6590 0.3730
0.8075 0.4452 0.3615
0.9151 0.0952 0.1405
0.1960 0.0575 0.8623
0.6663 0.8040 0.8615
0.8452 0.2047 0.6801
0.7181 0.5911 0.1821
0.7953 0.4754 0.6405
0.2860 0.9681 0.6270
0.1952 0.3337 0.1377
0.5246 0.1651 0.3199
0.5540 0.1925 0.6377
0.9048 0.0453 0.8199
0.4089 0.5910 0.1270
0.2254 0.0849 0.1801
0.4640 0.2819 0.8730
0.8349 0.1548 0.3595
0.9425 0.8048 0.1385
0.5548 0.9163 0.3623
0.0837 0.4460 0.6385
0.2302 0.1606 0.7401
0.7723 0.3648 0.7576
0.0031 0.6125 0.6961
0.6073 0.0148 0.2424
0.3295 0.7599 0.2401
0.3875 0.0835 0.3906
0.2298 0.8512 0.7298
0.9852 0.2277 0.5925
0.6286 0.7501 0.2298
0.6012 0.3714 0.1214
0.1214 0.4999 0.2702
0.0571 0.2531 0.8906
0.1427 0.2352 0.2576
0.5202 0.3988 0.7702
0.2499 0.4798 0.8786
0.1148 0.8573 0.0925
0.8335 0.9429 0.1961
0.2401 0.4802 0.5696
0.9106 0.6705 0.4304
0.5198 0.0894 0.7599
0.6929 0.9969 0.6094
0.3625 0.1665 0.1094
0.6352 0.3927 0.4075
0.7469 0.6375 0.8039
0.9165 0.3071 0.3039
0.5099 0.7698 0.9304
0.8394 0.5795 0.0696
0.4205 0.4901 0.2599
0.1488 0.8786 0.3786
0.7648 0.0223 0.9075
0.9777 0.8852 0.7424
0.5001 0.7702 0.6214
0.9506 0.9429 0.4697
0.5190 0.0494 0.9923
0.4733 0.4810 0.5303
0.0571 0.5267 0.0077
0.7994 0.3071 0.0303
0.6929 0.7233 0.4923
0.2767 0.7690 0.9697
0.2310 0.2006 0.5077
0.6086 0.9670 0.7152
0.2518 0.8933 0.2848
0.0330 0.7482 0.6415
0.1414 0.2830 0.7848
0.6433 0.8586 0.1415
0.1067 0.3914 0.3585
0.4982 0.3567 0.2152
0.7170 0.5018 0.8585
```

Output
Magnetization ... 56.000 μB/cell
ΔE_f ... -1.145 eV/atom